# 1
Li24Mn7Cr5O36, optimized geometry, DFT PBE with a Hubbard U; total energy after the MP2020 corrections = -6.8708 eV/atom; energy of formation = -2199 meV per atom; VASP energy = -6.226 eV/atom; distance to the lowest polymorph of the same formula = 2 meV per atom
1.0
5.006 0.000 0.000
-0.801 9.709 0.000
-2.460 -1.875 12.913
Li Mn Cr O
24 7 5 36
direct
0.000 0.000 0.000
0.000 0.499 0.499
0.118 0.498 0.718
0.120 0.001 0.223
0.163 0.249 0.584
0.166 0.749 0.082
0.212 0.998 0.443
0.220 0.501 0.947
0.333 0.499 0.167
0.333 0.999 0.666
0.450 0.500 0.385
0.451 0.999 0.887
0.497 0.750 0.748
0.499 0.249 0.250
0.548 0.000 0.111
0.551 0.500 0.614
0.664 0.500 0.833
0.666 0.000 0.333
0.779 0.498 0.051
0.785 0.000 0.555
0.831 0.250 0.917
0.832 0.750 0.415
0.880 0.999 0.776
0.882 0.499 0.280
0.053 0.248 0.359
0.278 0.750 0.306
0.390 0.750 0.527
0.391 0.251 0.028
0.608 0.748 0.972
0.723 0.250 0.694
0.944 0.249 0.138
0.050 0.749 0.860
0.273 0.249 0.807
0.604 0.250 0.473
0.726 0.750 0.192
0.945 0.751 0.636
0.017 0.136 0.688
0.020 0.638 0.192
0.096 0.363 0.048
0.097 0.863 0.548
0.161 0.863 0.759
0.165 0.638 0.404
0.166 0.361 0.261
0.170 0.138 0.904
0.236 0.136 0.118
0.241 0.635 0.616
0.310 0.862 0.975
0.312 0.361 0.474
0.350 0.136 0.355
0.359 0.638 0.856
0.431 0.364 0.715
0.432 0.863 0.216
0.496 0.637 0.069
0.502 0.139 0.570
0.502 0.362 0.931
0.502 0.861 0.428
0.567 0.635 0.285
0.568 0.136 0.784
0.636 0.862 0.642
0.643 0.361 0.143
0.690 0.138 0.023
0.690 0.638 0.525
0.764 0.863 0.882
0.765 0.364 0.382
0.830 0.861 0.095
0.831 0.138 0.236
0.836 0.363 0.597
0.841 0.638 0.738
0.900 0.635 0.952
0.902 0.136 0.450
0.980 0.361 0.808
0.981 0.863 0.311

***

# 2
Li3Mn2O5, optimized geometry, DFT PBE with a Hubbard U; total energy after the MP2020 corrections = -7.0283 eV/atom; energy of formation = -2149 meV per atom; VASP energy = -6.351 eV/atom; distance to the lowest polymorph of the same formula = 1 meV per atom
1.0
2.619 -7.165 0.000
2.619 7.165 0.000
-1.975 0.000 4.817
Li Mn O
6 4 10
direct
0.000 0.000 0.000
0.097 0.903 0.500
0.303 0.697 0.500
0.500 0.500 0.500
0.697 0.303 0.500
0.903 0.097 0.500
0.199 0.801 0.000
0.401 0.599 0.000
0.599 0.401 0.000
0.801 0.199 0.000
0.078 0.472 0.765
0.155 0.365 0.213
0.280 0.280 0.765
0.365 0.155 0.213
0.472 0.078 0.765
0.528 0.922 0.235
0.635 0.845 0.787
0.720 0.720 0.235
0.845 0.635 0.787
0.922 0.528 0.235

***

# 3
LiVCrP4O14, optimized geometry, DFT PBE with a Hubbard U; total energy after the MP2020 corrections = -7.9547 eV/atom; energy of formation = -2642 meV per atom; VASP energy = -7.321 eV/atom; distance to the lowest polymorph of the same formula = 4 meV per atom
1.0
7.155 0.000 0.000
-3.522 9.013 0.000
-1.791 -4.496 16.128
Li V Cr P O
4 4 4 16 56
direct
0.000 0.000 0.000
0.025 0.374 0.752
0.748 0.750 0.501
0.775 0.124 0.252
0.146 0.543 0.073
0.390 0.792 0.573
0.637 0.039 0.068
0.893 0.289 0.567
0.209 0.154 0.323
0.458 0.404 0.822
0.702 0.653 0.318
0.952 0.903 0.818
0.030 0.790 0.211
0.069 0.266 0.911
0.115 0.267 0.159
0.208 0.793 0.960
0.281 0.041 0.711
0.321 0.514 0.408
0.363 0.515 0.658
0.456 0.045 0.461
0.530 0.291 0.211
0.568 0.762 0.907
0.616 0.767 0.159
0.709 0.299 0.961
0.778 0.540 0.711
0.817 0.014 0.410
0.868 0.018 0.661
0.961 0.546 0.461
0.037 0.101 0.911
0.042 0.832 0.919
0.070 0.992 0.643
0.075 0.242 0.244
0.091 0.679 0.538
0.097 0.525 0.394
0.118 0.642 0.985
0.142 0.706 0.160
0.147 0.430 0.155
0.147 0.963 0.231
0.162 0.320 0.840
0.183 0.376 0.996
0.190 0.395 0.589
0.223 0.983 0.786
0.283 0.350 0.410
0.288 0.073 0.415
0.319 0.240 0.144
0.327 0.493 0.744
0.341 0.927 0.038
0.346 0.774 0.894
0.372 0.895 0.489
0.395 0.958 0.661
0.397 0.213 0.731
0.398 0.680 0.653
0.418 0.569 0.339
0.438 0.630 0.494
0.443 0.649 0.090
0.480 0.233 0.287
0.533 0.600 0.910
0.537 0.322 0.915
0.567 0.491 0.644
0.588 0.751 0.246
0.595 0.022 0.394
0.598 0.176 0.537
0.622 0.148 0.989
0.646 0.205 0.164
0.646 0.463 0.229
0.652 0.935 0.155
0.668 0.819 0.839
0.687 0.878 0.993
0.699 0.894 0.589
0.729 0.483 0.787
0.787 0.851 0.411
0.792 0.582 0.418
0.819 0.743 0.142
0.836 0.000 0.746
0.845 0.272 0.894
0.846 0.428 0.038
0.869 0.394 0.485
0.893 0.453 0.664
0.896 0.712 0.729
0.901 0.184 0.657
0.912 0.070 0.340
0.932 0.125 0.496
0.948 0.141 0.088
0.973 0.734 0.286